[1]
The following is a PBE with a Hubbard U calculation of a relaxed structure of Mn3Ni2P6WO24, from the Materials Project database.

Results
As for the formation energy from the elements: -224 kJ/mol of atoms. As for the calculated volume: 1375.1 Å³ per cell.

Cell lengths 8.7133, 8.7133, 20.9144 Å; angles 90.00, 90.00, 120.00 degrees
Last column: nearest neighbours and their distance in Å.
Space group R3 (No. 146, hexagonal axes)
Asymmetric unit:
Mn 0.0000 0.0000 0.0000  6 O 1.97-2.11
Mn 0.0000 0.0000 0.2116  6 O 2.05-2.21
Mn 0.0000 0.0000 0.4977  6 O 1.99-2.09
Ni 0.0000 0.0000 0.3555  6 O 2.14-2.15
Ni 0.0000 0.0000 0.8620  3 O 2.09
P 0.0079 0.7092 0.1038  4 O 1.50-1.64
P 0.0348 0.3673 0.2694  4 O 1.51-1.62
W 0.0000 0.0000 0.7120  6 O 1.90-1.98
O 0.0062 0.8313 0.7737  1 P 1.64
O 0.0171 0.1917 0.6630  1 P 1.62
O 0.0235 0.1910 0.2858  1 P 1.53
O 0.1272 0.6703 0.8322  1 P 1.50
O 0.1334 0.6685 0.7094  1 P 1.52
O 0.1368 0.4622 0.2102  1 P 1.51
O 0.1668 0.6784 0.0953  1 P 1.55
O 0.1680 0.4839 0.5971  1 P 1.55



[2]
The following is a PBE with a Hubbard U calculation of a relaxed structure of Mn2Ni6Te3PbO18, from the Materials Project database.

Results
As for the formation energy from the elements: -148 kJ/mol of atoms. As for the calculated volume: 685.0 Å³ per cell.

Cell lengths 9.4106, 9.4106, 8.9309 Å; angles 90.00, 90.00, 120.00 degrees
Last column: nearest neighbours and their distance in Å.
Space group P6_3/m (No. 176)
Asymmetric unit:
Mn 0.3333 0.6667 0.0605  6 O 2.16-2.36
Ni 0.0114 0.6513 0.0886  6 O 2.03-2.14
Te 0.0261 0.6635 0.7500  6 O 1.93-2.02
Pb 0.0000 0.0000 0.0000  6 O 2.66
O 0.0992 0.3042 0.0912  1 Te 1.96, 2 Ni 2.07-2.13
O 0.1058 0.2936 0.7500  1 Te 1.93, 2 Ni 2.03
O 0.1293 0.6066 0.5869  1 Te 1.97, 2 Ni 2.08-2.10, 1 Mn 2.16
O 0.1328 0.5805 0.2500  1 Te 2.02, 2 Ni 2.14



What is the formation energy from the elements in the second record?
-148 kJ/mol of atoms



Which value of formation energy from the elements does entry 2 give?
-148 kJ/mol of atoms